No. 1
6
Lattice="-2.1156 2.1156 9.2077 2.1156 -2.1156 9.2077 2.1156 2.1156 -9.2077" Properties=species:S:1:pos:R:3 comment="r2SCAN ThGeTe, optimized geometry" m_tot_mub_per_cell=0.0 energy_ev_per_atom=-38.725 e_form_mev_per_atom=-1137.3 volume_a3_per_atom=27.47 spacegroup="No. 139" pbc="T T T"
Th 0.0000 0.0000 2.2505
Th 0.0000 0.0000 16.1648
Ge 2.1156 0.0000 0.0000
Ge 0.0000 2.1156 0.0000
Te 0.0000 0.0000 5.7310
Te 0.0000 0.0000 12.6843

***

No. 2
4
Lattice="1.4983 0.8650 5.3367 -1.4983 0.8650 5.3367 0.0000 -1.7300 5.3367" Properties=species:S:1:pos:R:3 comment="r2SCAN NaVO2, optimized geometry" m_tot_mub_per_cell=2.0 energy_ev_per_atom=-9.808 e_form_mev_per_atom=-2408.0 volume_a3_per_atom=10.37 spacegroup="No. 166" pbc="T T T"
Na 0.0000 0.0000 0.0000
V 0.0000 0.0000 8.0051
O 0.0000 0.0000 3.7572
O 0.0000 0.0000 12.2530

***

No. 3
40
Lattice="9.7498 0.0000 0.0000 0.0000 9.7498 0.0000 0.0000 0.0000 9.7498" Properties=species:S:1:pos:R:3 comment="r2SCAN Th3Sn13Rh4, optimized geometry" m_tot_mub_per_cell=0.0 energy_ev_per_atom=-32.439 e_form_mev_per_atom=-505.2 volume_a3_per_atom=23.17 spacegroup="No. 223" pbc="T T T"
Th 0.0000 2.4374 4.8749
Th 0.0000 7.3123 4.8749
Th 2.4374 4.8749 0.0000
Th 4.8749 0.0000 2.4374
Th 4.8749 0.0000 7.3123
Th 7.3123 4.8749 0.0000
Sn 0.0000 0.0000 0.0000
Sn 0.0000 3.0009 1.4813
Sn 0.0000 3.0009 8.2685
Sn 0.0000 6.7489 1.4813
Sn 0.0000 6.7489 8.2685
Sn 1.4813 0.0000 3.0009
Sn 1.4813 0.0000 6.7489
Sn 1.8740 4.8749 3.3936
Sn 1.8740 4.8749 6.3562
Sn 3.0009 1.4813 0.0000
Sn 3.0009 8.2685 0.0000
Sn 3.3936 1.8740 4.8749
Sn 3.3936 7.8758 4.8749
Sn 4.8749 3.3936 1.8740
Sn 4.8749 3.3936 7.8758
Sn 4.8749 4.8749 4.8749
Sn 4.8749 6.3562 1.8740
Sn 4.8749 6.3562 7.8758
Sn 6.3562 1.8740 4.8749
Sn 6.3562 7.8758 4.8749
Sn 6.7489 1.4813 0.0000
Sn 6.7489 8.2685 0.0000
Sn 7.8758 4.8749 3.3936
Sn 7.8758 4.8749 6.3562
Sn 8.2685 0.0000 3.0009
Sn 8.2685 0.0000 6.7489
Rh 2.4374 2.4374 2.4374
Rh 2.4374 2.4374 7.3123
Rh 2.4374 7.3123 2.4374
Rh 2.4374 7.3123 7.3123
Rh 7.3123 2.4374 2.4374
Rh 7.3123 2.4374 7.3123
Rh 7.3123 7.3123 2.4374
Rh 7.3123 7.3123 7.3123

***

No. 4
40
Lattice="5.4442 0.0000 0.0000 2.2998 6.6197 0.0000 0.1915 1.1508 11.0805" Properties=species:S:1:pos:R:3 comment="r2SCAN V7O13, optimized geometry" m_tot_mub_per_cell=18.0 energy_ev_per_atom=-11.461 e_form_mev_per_atom=-2648.0 volume_a3_per_atom=9.98 spacegroup="No. 2" pbc="T T T"
V 0.0000 0.0000 0.0000
V 1.1499 3.3099 0.0000
V 1.8724 2.5375 6.1750
V 3.0323 5.8427 6.1384
V 3.4792 6.8479 3.2473
V 2.3600 3.4792 3.2083
V 2.8808 2.7346 9.4983
V 4.0442 6.0388 9.4361
V 3.8913 1.7318 1.6444
V 5.0547 5.0359 1.5822
V 5.5755 4.2913 7.8722
V 4.4562 0.9226 7.8332
V 4.9032 1.9278 4.9421
V 6.0631 5.2331 4.9054
O 1.2868 3.7828 9.2067
O 1.7027 4.4619 6.5696
O 2.4490 5.9338 10.5310
O 2.4679 5.2923 4.1692
O 2.9422 6.5351 7.8596
O 1.2832 0.8792 5.2402
O 3.4461 6.1318 1.5325
O 1.7629 1.2517 9.9668
O 2.2747 1.6420 2.7601
O 2.7664 2.2017 0.1595
O 2.8516 2.0462 7.5392
O 3.3392 2.7339 4.9089
O 3.9838 4.1753 8.8253
O 3.9516 3.5952 2.2552
O 4.5963 5.0367 6.1716
O 5.0839 5.7243 3.5413
O 5.1691 5.5688 10.9210
O 5.6607 6.1285 8.3204
O 6.1726 6.5188 1.1137
O 4.4894 1.6387 9.5480
O 6.6523 6.8913 5.8403
O 4.9932 1.2354 3.2209
O 5.4676 2.4782 6.9112
O 5.4864 1.8368 0.5495
O 6.2328 3.3086 4.5109
O 6.6487 3.9878 1.8737

***

No. 5
12
Lattice="5.1332 0.0000 0.0000 0.0000 5.4631 0.0000 -0.6046 0.0000 5.2889" Properties=species:S:1:pos:R:3 comment="r2SCAN TbTaO4, optimized geometry" m_tot_mub_per_cell=0.0 energy_ev_per_atom=-20.868 e_form_mev_per_atom=-3583.2 volume_a3_per_atom=12.36 spacegroup="No. 13" pbc="T T T"
Tb -0.1511 1.2823 1.3222
Tb -0.4534 4.1808 3.9667
Ta 2.1131 1.6674 3.9667
Ta 2.4154 3.7957 1.3222
O 0.9298 0.4533 3.1719
O 1.2321 5.0098 0.5275
O 0.7776 2.3920 5.2404
O 1.0799 3.0711 2.5960
O 3.4487 2.3920 2.6930
O 3.7510 3.0711 0.0485
O 3.2965 0.4533 4.7615
O 3.5988 5.0098 2.1170

***

No. 6
18
Lattice="8.7323 0.0000 0.0000 -4.3661 7.5624 0.0000 0.0000 0.0000 3.9929" Properties=species:S:1:pos:R:3 comment="r2SCAN HoGa2Co3, optimized geometry" m_tot_mub_per_cell=9.9 energy_ev_per_atom=-16.242 e_form_mev_per_atom=-330.5 volume_a3_per_atom=14.65 spacegroup="No. 191" pbc="T T T"
Ho 0.0000 0.0000 0.0000
Ho 0.0000 5.0416 1.9965
Ho 4.3661 2.5208 1.9965
Ga -1.3472 2.3335 1.9965
Ga -3.0189 5.2289 1.9965
Ga 2.6945 0.0000 1.9965
Ga 1.3472 2.3335 1.9965
Ga 6.0378 0.0000 1.9965
Ga 3.0189 5.2289 1.9965
Co -2.1831 3.7812 0.0000
Co 0.0000 2.8044 0.0000
Co -1.9374 6.1601 0.0000
Co 2.4287 1.4022 0.0000
Co 4.3661 0.0000 0.0000
Co 2.1831 3.7812 0.0000
Co 1.9374 6.1601 0.0000
Co 6.3035 1.4022 0.0000
Co 4.3661 4.7579 0.0000

***

No. 7
6
Lattice="1.9782 -5.0933 0.0000 1.9782 5.0933 0.0000 0.0000 0.0000 5.6439" Properties=species:S:1:pos:R:3 comment="r2SCAN ErAlSi, optimized geometry" m_tot_mub_per_cell=0.0 energy_ev_per_atom=-17.137 e_form_mev_per_atom=-660.0 volume_a3_per_atom=18.96 spacegroup="No. 63" pbc="T T T"
Er 1.9782 3.1038 4.2329
Er 1.9782 -3.1038 1.4110
Al 1.9782 0.0000 0.0000
Al 1.9782 0.0000 2.8219
Si 1.9782 4.0788 1.4110
Si 1.9782 -4.0788 4.2329

***

No. 8
2
Lattice="0.0000 2.3171 2.3171 2.3171 0.0000 2.3171 2.3171 2.3171 0.0000" Properties=species:S:1:pos:R:3 comment="r2SCAN HfC, optimized geometry" m_tot_mub_per_cell=0.0 energy_ev_per_atom=-28.672 e_form_mev_per_atom=-1122.9 volume_a3_per_atom=12.44 spacegroup="No. 225" pbc="T T T"
Hf 0.0000 0.0000 0.0000
C 2.3171 2.3171 2.3171

***

No. 9
24
Lattice="7.0027 0.0000 0.0000 -3.5014 6.0645 0.0000 0.0000 0.0000 7.2077" Properties=species:S:1:pos:R:3 comment="r2SCAN NdF3, optimized geometry" m_tot_mub_per_cell=0.0 energy_ev_per_atom=-14.151 e_form_mev_per_atom=-4452.4 volume_a3_per_atom=12.75 spacegroup="No. 165" pbc="T T T"
Nd -1.2035 2.0845 1.8019
Nd -2.2979 3.9801 5.4058
Nd 2.4069 0.0000 1.8019
Nd 1.2035 2.0845 5.4058
Nd 4.5958 0.0000 5.4058
Nd 2.2979 3.9801 1.8019
F 0.0000 0.0000 1.8019
F 0.0000 0.0000 5.4058
F -0.8750 2.2481 4.1888
F -1.9919 4.1827 0.5850
F 0.8750 2.2481 0.5850
F -1.1169 5.6982 4.1888
F 0.0000 4.0430 2.3087
F 0.0000 4.0430 5.9125
F 2.3844 0.3663 6.6227
F 1.5095 1.8818 3.0189
F 1.9919 4.1827 4.1888
F 1.1169 5.6982 0.5850
F 3.5014 2.0215 1.2952
F 3.5014 2.0215 4.8990
F 4.6183 0.3663 3.0189
F 2.6264 3.8164 6.6227
F 5.4933 1.8818 6.6227
F 4.3764 3.8164 3.0189

***

No. 10
6
Lattice="2.4898 1.4375 4.0431 -2.4898 1.4375 4.0431 0.0000 -2.8750 4.0431" Properties=species:S:1:pos:R:3 comment="r2SCAN Zr2CrCo3, optimized geometry" m_tot_mub_per_cell=5.0 energy_ev_per_atom=-16.843 e_form_mev_per_atom=-130.1 volume_a3_per_atom=14.47 spacegroup="No. 166" pbc="T T T"
Zr 0.0000 0.0000 1.5231
Zr 0.0000 0.0000 10.6063
Cr 0.0000 0.0000 6.0647
Co -1.2449 -0.7187 4.0431
Co -1.2449 0.7187 8.0862
Co 0.0000 1.4375 4.0431

***

No. 11
38
Lattice="7.1996 0.0000 0.0000 0.0000 7.1996 0.0000 0.0000 0.0000 7.4440" Properties=species:S:1:pos:R:3 comment="r2SCAN Ho4NiB14, optimized geometry" m_tot_mub_per_cell=0.0 energy_ev_per_atom=-13.656 e_form_mev_per_atom=-690.2 volume_a3_per_atom=10.15 spacegroup="No. 128" pbc="T T T"
Ho 1.2155 2.2052 0.0000
Ho 1.3946 2.3842 3.7220
Ho 2.2052 5.9840 0.0000
Ho 2.3842 5.8050 3.7220
Ho 4.8153 1.3946 3.7220
Ho 4.9944 1.2155 0.0000
Ho 5.8050 4.8153 3.7220
Ho 5.9840 4.9944 0.0000
Ni 0.0000 0.0000 3.7220
Ni 3.5998 3.5998 0.0000
B 0.0000 0.0000 0.8279
B 0.0000 0.0000 6.6161
B 0.2809 5.9438 1.9992
B 0.2809 5.9438 5.4448
B 0.6432 4.2430 1.8610
B 0.6432 4.2430 5.5830
B 1.2558 0.2809 1.9992
B 1.2558 0.2809 5.4448
B 2.3440 3.8807 1.7228
B 2.3440 3.8807 5.7212
B 2.9565 0.6432 1.8610
B 2.9565 0.6432 5.5830
B 3.3189 2.3440 1.7228
B 3.3189 2.3440 5.7212
B 3.5998 3.5998 2.8941
B 3.5998 3.5998 4.5499
B 3.8807 4.8555 1.7228
B 3.8807 4.8555 5.7212
B 4.2430 6.5563 1.8610
B 4.2430 6.5563 5.5830
B 4.8555 3.3189 1.7228
B 4.8555 3.3189 5.7212
B 5.9438 6.9187 1.9992
B 5.9438 6.9187 5.4448
B 6.5563 2.9565 1.8610
B 6.5563 2.9565 5.5830
B 6.9187 1.2558 1.9992
B 6.9187 1.2558 5.4448

***

No. 12
38
Lattice="7.7202 0.0000 0.0000 3.6884 8.6247 0.0000 3.5408 1.6880 9.1418" Properties=species:S:1:pos:R:3 comment="r2SCAN Re2Sb4O13, optimized geometry" m_tot_mub_per_cell=0.0 energy_ev_per_atom=-16.562 e_form_mev_per_atom=-1546.6 volume_a3_per_atom=16.02 spacegroup="No. 2" pbc="T T T"
Re 2.2556 1.7109 1.2019
Re 5.1957 1.6110 6.5780
Re 9.7537 8.7018 2.5638
Re 12.6938 8.6019 7.9399
Sb 6.0560 7.3814 4.1969
Sb 4.4968 4.1325 3.5650
Sb 4.9304 5.7539 0.5243
Sb 6.9478 5.2588 6.9952
Sb 8.0016 5.0539 2.1467
Sb 10.0190 4.5588 8.6175
Sb 10.4526 6.1803 5.5768
Sb 8.8933 2.9313 4.9449
O 6.2857 7.5020 8.3951
O 4.5440 5.9779 4.6113
O 2.8734 2.3052 2.7278
O 4.6166 2.5117 7.9453
O 3.8223 4.8538 1.8769
O 5.3984 8.7281 1.5207
O 3.9713 1.5944 5.3442
O 7.2065 6.5975 5.5788
O 3.5408 1.7202 0.0343
O 6.3446 5.9775 2.7966
O 8.3804 5.8989 8.2871
O 9.2403 8.6074 7.0618
O 6.6264 2.4162 5.9438
O 8.3230 7.8965 3.1980
O 5.7091 1.7054 2.0800
O 6.5690 4.4138 0.8547
O 8.6048 4.3353 6.3452
O 11.4085 8.5925 9.1075
O 7.7429 3.7153 3.5630
O 10.9781 8.7183 3.7976
O 9.5510 1.5846 7.6211
O 11.1271 5.4590 7.2649
O 10.3327 7.8011 1.1965
O 12.0759 8.0076 6.4140
O 10.4054 4.3348 4.5305
O 8.6637 2.8108 0.7467